1.
A relaxed structure of Li4Mn3VP4O16. Source: the Materials Project database, functional GGA+U.

DFT formation energy = -2633 meV/atom

Cell lengths 6.170, 4.790, 10.559 Å; angles 89.97, 90.00, 90.00 degrees
Element x y z (fractional)
Li1 0.249 0.000 0.000
Li2 0.751 0.000 0.000
Li3 0.749 0.501 0.501
Li4 0.251 0.501 0.501
Mn1 0.000 0.028 0.282
Mn2 0.000 0.473 0.780
Mn3 0.500 0.528 0.220
V1 0.500 0.978 0.723
P1 0.500 0.089 0.409
P2 0.500 0.410 0.907
P3 0.000 0.590 0.092
P4 0.000 0.909 0.592
O1 0.500 0.210 0.546
O2 0.300 0.223 0.340
O3 0.700 0.223 0.340
O4 0.000 0.231 0.596
O5 0.000 0.269 0.096
O6 0.299 0.274 0.837
O7 0.701 0.274 0.837
O8 0.500 0.290 0.044
O9 0.000 0.711 0.955
O10 0.799 0.723 0.161
O11 0.201 0.723 0.161
O12 0.500 0.730 0.903
O13 0.500 0.769 0.404
O14 0.799 0.776 0.661
O15 0.201 0.776 0.661
O16 0.000 0.788 0.455

2.
A relaxed structure of Li6MnV3P6O24. Source: the Materials Project database, functional GGA+U.

Energy above the lowest structure with this stoichiometry = 35.0 meV per atom
DFT formation energy = -2651 meV/atom

Cell lengths 9.836, 9.871, 9.874 Å; angles 86.66, 85.99, 87.15 degrees
Element x y z (fractional)
Li1 0.734 0.008 0.491
Li2 0.616 0.954 0.758
Li3 0.529 0.230 0.436
Li4 0.838 0.204 0.280
Li5 0.381 0.238 0.055
Li6 0.160 0.372 0.254
Li7 0.279 0.512 0.981
Li8 0.472 0.572 0.761
Li9 0.021 0.671 0.092
Li10 0.178 0.734 0.781
Li11 0.835 0.755 0.621
Li12 0.981 0.905 0.324
Mn1 0.507 0.531 0.467
Mn2 0.271 0.973 0.243
V1 0.223 0.031 0.746
V2 0.005 0.253 0.751
V3 0.782 0.255 0.971
V4 0.999 0.470 0.533
V5 0.718 0.754 0.037
V6 0.492 0.752 0.250
P1 0.602 0.052 0.183
P2 0.093 0.168 0.049
P3 0.067 0.154 0.450
P4 0.700 0.326 0.661
P5 0.303 0.349 0.673
P6 0.568 0.451 0.153
P7 0.931 0.556 0.847
P8 0.195 0.644 0.314
P9 0.796 0.677 0.351
P10 0.428 0.838 0.551
P11 0.409 0.823 0.945
P12 0.904 0.952 0.831
O1 0.112 0.025 0.114
O2 0.450 0.090 0.175
O3 0.205 0.111 0.384
O4 0.679 0.111 0.050
O5 0.662 0.102 0.310
O6 0.073 0.125 0.610
O7 0.944 0.082 0.403
O8 0.879 0.113 0.842
O9 0.127 0.169 0.889
O10 0.326 0.192 0.687
O11 0.936 0.214 0.081
O12 0.651 0.208 0.589
O13 0.185 0.272 0.098
O14 0.042 0.311 0.413
O15 0.681 0.300 0.823
O16 0.860 0.333 0.628
O17 0.706 0.383 0.097
O18 0.445 0.410 0.083
O19 0.143 0.382 0.666
O20 0.378 0.390 0.533
O21 0.560 0.412 0.310
O22 0.349 0.423 0.792
O23 0.924 0.396 0.877
O24 0.630 0.465 0.631
O25 0.153 0.564 0.195
O26 0.856 0.542 0.407
O27 0.139 0.583 0.454
O28 0.581 0.610 0.124
O29 0.355 0.623 0.319
O30 0.059 0.607 0.904
O31 0.932 0.591 0.690
O32 0.797 0.617 0.914
O33 0.633 0.668 0.375
O34 0.837 0.698 0.195
O35 0.441 0.680 0.585
O36 0.352 0.697 0.888
O37 0.148 0.795 0.298
O38 0.373 0.822 0.102
O39 0.834 0.801 0.425
O40 0.568 0.824 0.914
O41 0.418 0.872 0.394
O42 0.630 0.892 0.178
O43 0.289 0.882 0.625
O44 0.058 0.917 0.796
O45 0.551 0.910 0.594
O46 0.863 0.882 0.969
O47 0.814 0.915 0.718
O48 0.349 0.958 0.882

3.
A relaxed structure of Li6MnV3P6O24. Source: the Materials Project database, functional GGA+U.

Energy above the lowest structure with this stoichiometry = 51.9 meV per atom
DFT formation energy = -2634 meV/atom

Cell lengths 9.862, 9.862, 9.892 Å; angles 86.96, 86.96, 87.57 degrees
Element x y z (fractional)
Li1 0.521 0.951 0.245
Li2 0.356 0.264 0.189
Li3 0.771 0.928 0.113
Li4 0.855 0.440 0.019
Li5 0.560 0.145 0.981
Li6 0.072 0.229 0.887
Li7 0.736 0.644 0.811
Li8 0.049 0.479 0.755
Li9 0.942 0.767 0.609
Li10 0.142 0.538 0.482
Li11 0.462 0.858 0.518
Li12 0.233 0.058 0.391
Mn1 0.756 0.032 0.722
Mn2 0.968 0.244 0.278
V1 0.029 0.746 0.217
V2 0.250 0.750 0.000
V3 0.464 0.536 0.000
V4 0.254 0.971 0.783
V5 0.532 0.468 0.500
V6 0.751 0.249 0.500
P1 0.641 0.331 0.199
P2 0.168 0.046 0.101
P3 0.147 0.450 0.078
P4 0.550 0.853 0.922
P5 0.954 0.832 0.899
P6 0.669 0.359 0.801
P7 0.323 0.653 0.700
P8 0.051 0.178 0.607
P9 0.453 0.152 0.578
P10 0.848 0.547 0.422
P11 0.822 0.949 0.393
P12 0.347 0.677 0.300
O1 0.102 0.385 0.217
O2 0.274 0.094 0.194
O3 0.377 0.671 0.141
O4 0.168 0.885 0.128
O5 0.793 0.310 0.159
O6 0.025 0.109 0.133
O7 0.550 0.219 0.158
O8 0.593 0.470 0.135
O9 0.121 0.610 0.080
O10 0.302 0.414 0.057
O11 0.917 0.797 0.052
O12 0.594 0.940 0.037
O13 0.390 0.879 0.920
O14 0.060 0.406 0.963
O15 0.203 0.083 0.948
O16 0.586 0.698 0.943
O17 0.115 0.832 0.872
O18 0.329 0.623 0.859
O19 0.891 0.975 0.867
O20 0.530 0.407 0.865
O21 0.781 0.450 0.842
O22 0.906 0.726 0.806
O23 0.690 0.207 0.841
O24 0.615 0.898 0.783
O25 0.389 0.113 0.718
O26 0.326 0.811 0.668
O27 0.197 0.590 0.655
O28 0.086 0.294 0.692
O29 0.458 0.594 0.632
O30 0.114 0.040 0.664
O31 0.663 0.378 0.639
O32 0.890 0.167 0.627
O33 0.809 0.908 0.545
O34 0.428 0.312 0.547
O35 0.934 0.597 0.533
O36 0.612 0.123 0.578
O37 0.403 0.066 0.467
O38 0.688 0.572 0.453
O39 0.092 0.191 0.455
O40 0.877 0.388 0.422
O41 0.406 0.542 0.368
O42 0.410 0.803 0.345
O43 0.960 0.886 0.336
O44 0.189 0.674 0.332
O45 0.833 0.110 0.373
O46 0.706 0.914 0.308
O47 0.622 0.337 0.361
O48 0.887 0.611 0.282

4.
A relaxed structure of Li2MnVP4O14. Source: the Materials Project database, functional GGA+U.

Energy above the lowest structure with this stoichiometry = 12.2 meV per atom
DFT formation energy = -2653 meV/atom

Cell lengths 4.850, 7.052, 24.989 Å; angles 89.44, 89.73, 71.29 degrees
Element x y z (fractional)
Li1 0.173 0.325 0.620
Li2 0.174 0.327 0.954
Li3 0.177 0.326 0.287
Li4 0.823 0.676 0.120
Li5 0.825 0.673 0.454
Li6 0.823 0.676 0.787
Mn1 0.213 0.269 0.500
Mn2 0.785 0.729 0.666
Mn3 0.785 0.731 0.000
V1 0.216 0.273 0.166
V2 0.215 0.273 0.833
V3 0.786 0.729 0.333
P1 0.402 0.478 0.059
P2 0.399 0.482 0.393
P3 0.401 0.478 0.726
P4 0.214 0.915 0.261
P5 0.213 0.909 0.596
P6 0.213 0.911 0.928
P7 0.790 0.086 0.096
P8 0.787 0.088 0.429
P9 0.789 0.087 0.762
P10 0.600 0.523 0.227
P11 0.599 0.517 0.559
P12 0.601 0.518 0.894
O1 0.051 0.153 0.108
O2 0.050 0.154 0.775
O3 0.058 0.146 0.442
O4 0.131 0.111 0.899
O5 0.133 0.115 0.232
O6 0.126 0.111 0.567
O7 0.189 0.518 0.012
O8 0.187 0.518 0.679
O9 0.190 0.518 0.346
O10 0.250 0.495 0.780
O11 0.251 0.495 0.114
O12 0.243 0.504 0.447
O13 0.396 0.396 0.226
O14 0.392 0.390 0.557
O15 0.392 0.395 0.892
O16 0.602 0.085 0.145
O17 0.601 0.085 0.478
O18 0.600 0.086 0.812
O19 0.598 0.247 0.051
O20 0.596 0.250 0.386
O21 0.597 0.248 0.718
O22 0.405 0.755 0.218
O23 0.405 0.751 0.886
O24 0.402 0.750 0.552
O25 0.398 0.916 0.311
O26 0.401 0.910 0.645
O27 0.397 0.914 0.978
O28 0.605 0.608 0.058
O29 0.608 0.605 0.392
O30 0.604 0.608 0.724
O31 0.753 0.507 0.281
O32 0.750 0.493 0.613
O33 0.755 0.496 0.947
O34 0.813 0.485 0.179
O35 0.810 0.482 0.511
O36 0.811 0.484 0.846
O37 0.873 0.886 0.068
O38 0.872 0.886 0.734
O39 0.868 0.890 0.399
O40 0.949 0.852 0.275
O41 0.943 0.850 0.609
O42 0.942 0.854 0.942

5.
A relaxed structure of LiMnVP4O14. Source: the Materials Project database, functional GGA+U.

Energy above the lowest structure with this stoichiometry = 3.7 meV per atom
DFT formation energy = -2591 meV/atom

Cell lengths 8.174, 9.732, 9.988 Å; angles 94.91, 90.53, 91.90 degrees
Element x y z (fractional)
Li1 0.358 0.278 0.051
Li2 0.863 0.724 0.948
Li3 0.863 0.058 0.613
Mn1 0.008 0.916 0.350
Mn2 0.993 0.256 0.024
Mn3 0.006 0.582 0.682
V1 0.505 0.413 0.314
V2 0.496 0.743 0.975
V3 0.495 0.078 0.640
P1 0.781 0.988 0.104
P2 0.289 0.680 0.234
P3 0.682 0.455 0.028
P4 0.176 0.879 0.642
P5 0.782 0.654 0.436
P6 0.679 0.789 0.696
P7 0.175 0.212 0.306
P8 0.287 0.348 0.566
P9 0.678 0.122 0.363
P10 0.177 0.547 0.976
P11 0.781 0.321 0.770
P12 0.289 0.012 0.898
O1 0.686 0.877 0.011
O2 0.933 0.925 0.161
O3 0.439 0.738 0.162
O4 0.151 0.632 0.119
O5 0.204 0.777 0.331
O6 0.828 0.781 0.362
O7 0.039 0.928 0.555
O8 0.848 0.426 0.080
O9 0.347 0.923 0.594
O10 0.537 0.407 0.112
O11 0.671 0.942 0.665
O12 0.342 0.547 0.295
O13 0.680 0.552 0.342
O14 0.150 0.967 0.786
O15 0.653 0.699 0.554
O16 0.821 0.113 0.027
O17 0.932 0.593 0.497
O18 0.172 0.727 0.663
O19 0.038 0.255 0.216
O20 0.345 0.259 0.254
O21 0.844 0.757 0.755
O22 0.536 0.747 0.784
O23 0.662 0.274 0.332
O24 0.440 0.408 0.500
O25 0.333 0.880 0.963
O26 0.153 0.299 0.449
O27 0.652 0.032 0.220
O28 0.201 0.444 0.664
O29 0.174 0.060 0.331
O30 0.826 0.448 0.696
O31 0.039 0.592 0.888
O32 0.844 0.091 0.420
O33 0.348 0.589 0.927
O34 0.535 0.077 0.449
O35 0.671 0.609 0.998
O36 0.338 0.215 0.630
O37 0.689 0.211 0.676
O38 0.649 0.365 0.884
O39 0.931 0.259 0.833
O40 0.177 0.393 0.997
O41 0.441 0.072 0.830
O42 0.213 0.117 0.996

6.
A relaxed structure of Li6MnV3P6O24. Source: the Materials Project database, functional GGA+U.

Energy above the lowest structure with this stoichiometry = 40.4 meV per atom
DFT formation energy = -2646 meV/atom

Cell lengths 8.866, 8.574, 12.345 Å; angles 87.59, 90.00, 90.00 degrees
Element x y z (fractional)
Li1 0.000 0.000 0.001
Li2 0.102 0.000 0.249
Li3 0.000 0.000 0.501
Li4 0.898 0.000 0.749
Li5 0.804 0.292 0.049
Li6 0.196 0.292 0.549
Li7 0.505 0.507 0.998
Li8 0.403 0.505 0.254
Li9 0.495 0.507 0.498
Li10 0.597 0.505 0.754
Li11 0.802 0.713 0.446
Li12 0.198 0.713 0.946
Mn1 0.500 0.791 0.354
Mn2 0.500 0.791 0.854
V1 0.500 0.213 0.144
V2 0.500 0.213 0.644
V3 0.996 0.286 0.358
V4 0.004 0.286 0.858
V5 0.998 0.717 0.142
V6 0.002 0.717 0.642
P1 0.802 0.001 0.249
P2 0.198 0.001 0.749
P3 0.355 0.156 0.395
P4 0.645 0.156 0.895
P5 0.148 0.352 0.103
P6 0.852 0.352 0.603
P7 0.708 0.500 0.249
P8 0.292 0.500 0.749
P9 0.145 0.645 0.398
P10 0.855 0.645 0.898
P11 0.356 0.843 0.105
P12 0.644 0.843 0.605
O1 0.413 0.010 0.108
O2 0.587 0.010 0.608
O3 0.913 0.074 0.334
O4 0.087 0.074 0.834
O5 0.704 0.125 0.190
O6 0.296 0.125 0.690
O7 0.177 0.151 0.409
O8 0.823 0.151 0.909
O9 0.404 0.249 0.292
O10 0.064 0.253 0.018
O11 0.408 0.253 0.493
O12 0.596 0.249 0.792
O13 0.936 0.253 0.518
O14 0.096 0.277 0.214
O15 0.592 0.253 0.993
O16 0.904 0.277 0.714
O17 0.323 0.345 0.090
O18 0.677 0.345 0.590
O19 0.807 0.378 0.311
O20 0.193 0.378 0.811
O21 0.601 0.428 0.164
O22 0.399 0.428 0.664
O23 0.094 0.472 0.409
O24 0.906 0.472 0.909
O25 0.108 0.527 0.092
O26 0.892 0.527 0.592
O27 0.605 0.570 0.338
O28 0.395 0.570 0.838
O29 0.807 0.617 0.186
O30 0.193 0.617 0.686
O31 0.317 0.638 0.412
O32 0.683 0.638 0.912
O33 0.096 0.723 0.288
O34 0.409 0.747 0.008
O35 0.904 0.723 0.788
O36 0.060 0.745 0.482
O37 0.402 0.746 0.208
O38 0.591 0.747 0.508
O39 0.940 0.745 0.982
O40 0.598 0.746 0.708
O41 0.179 0.856 0.091
O42 0.821 0.856 0.591
O43 0.718 0.873 0.313
O44 0.282 0.873 0.813
O45 0.912 0.937 0.162
O46 0.088 0.937 0.662
O47 0.407 0.988 0.397
O48 0.593 0.988 0.897